No. 1
## KNiP3O9 (PBE with a Hubbard U)

Data for a relaxed structure of KNiP3O9.

Properties
- piezoelectric modulus e_max (C/m²) = 0.3
- energy of formation from the pure elements (kJ per mole of atoms) = -243.1
- spin magnetization (μB per formula unit) = 0.000

Geometry as POSCAR:
```
KNiP3O9
1.0
-6.344 0.198 -0.381
-3.028 -4.765 4.252
-0.474 13.784 15.111
O P Ni K
36 12 4 4
direct
0.113 0.790 0.425 O
0.113 0.789 0.924 O
0.530 0.747 0.438 O
0.782 0.583 0.242 O
0.548 0.074 0.399 O
0.922 0.950 0.664 O
0.530 0.747 0.938 O
0.336 0.731 0.683 O
0.282 0.083 0.992 O
0.048 0.574 0.649 O
0.548 0.074 0.899 O
0.717 0.922 0.510 O
0.922 0.950 0.164 O
0.836 0.231 0.933 O
0.836 0.231 0.433 O
0.613 0.290 0.675 O
0.030 0.247 0.688 O
0.613 0.290 0.175 O
0.717 0.922 0.010 O
0.422 0.449 0.914 O
0.282 0.083 0.492 O
0.170 0.771 0.566 O
0.882 0.216 0.074 O
0.882 0.216 0.574 O
0.382 0.716 0.324 O
0.217 0.422 0.260 O
0.422 0.450 0.414 O
0.170 0.771 0.066 O
0.382 0.716 0.824 O
0.670 0.271 0.316 O
0.336 0.731 0.183 O
0.670 0.271 0.816 O
0.030 0.247 0.188 O
0.217 0.422 0.760 O
0.782 0.583 0.742 O
0.048 0.574 0.149 O
0.014 0.465 0.716 P
0.844 0.188 0.645 P
0.514 0.965 0.966 P
0.642 0.256 0.388 P
0.844 0.188 0.145 P
0.014 0.465 0.216 P
0.514 0.965 0.466 P
0.344 0.688 0.895 P
0.142 0.756 0.138 P
0.142 0.756 0.638 P
0.642 0.256 0.888 P
0.344 0.688 0.395 P
0.000 0.001 0.500 Ni
0.000 0.001 0.000 Ni
0.500 0.501 0.750 Ni
0.500 0.501 0.250 Ni
0.500 0.993 0.250 K
0.500 0.993 0.750 K
0.000 0.493 0.500 K
0.000 0.493 0.000 K
```

***

No. 2
## K4NiP6O25 (PBE with a Hubbard U)

Data for a relaxed structure of K4NiP6O25.

Properties
- energy relative to the lowest polymorph listed for this composition (meV per atom) = 0.0
- energy of formation from the pure elements (kJ per mole of atoms) = -166.5
- spin magnetization (μB per formula unit) = 12.000

Geometry as POSCAR:
```
K4NiP6O25
1.0
9.458 -8.358 2.500
2.619 -11.272 2.423
4.474 -1.503 -5.743
P O K Ni
6 25 4 1
direct
0.492 0.956 0.044 P
0.044 0.508 0.492 P
0.013 0.754 0.638 P
0.404 0.362 0.246 P
0.246 0.987 0.404 P
0.638 0.596 0.013 P
0.878 0.970 0.646 O
0.105 0.895 0.728 O
0.486 0.514 0.486 O
0.822 0.445 0.050 O
0.283 0.717 0.891 O
0.915 0.731 0.597 O
0.495 0.354 0.030 O
0.316 0.950 0.555 O
0.891 0.109 0.283 O
0.555 0.178 0.316 O
0.050 0.684 0.822 O
0.244 0.578 0.422 O
0.269 0.085 0.243 O
0.626 0.872 0.128 O
0.939 0.898 0.102 O
0.128 0.374 0.626 O
0.597 0.757 0.915 O
0.422 0.756 0.244 O
0.102 0.061 0.939 O
0.646 0.505 0.878 O
0.728 0.272 0.105 O
0.243 0.403 0.269 O
0.910 0.566 0.434 O
0.434 0.090 0.910 O
0.030 0.122 0.495 O
0.521 0.979 0.521 K
0.490 0.299 0.701 K
0.701 0.510 0.490 K
0.021 0.479 0.021 K
0.003 0.997 0.003 Ni
```

***

No. 3
## K2Ni4P4O15 (PBE with a Hubbard U)

Data for a relaxed structure of K2Ni4P4O15.

Properties
- energy of formation from the pure elements (kJ per mole of atoms) = -206.5
- spin magnetization (μB per formula unit) = 2.648

Geometry as POSCAR:
```
K2Ni4P4O15
1.0
6.911 5.215 0.000
-6.911 5.215 0.000
0.000 4.171 17.885
Ni O K P
16 60 8 16
direct
0.824 0.176 0.250 Ni
0.954 0.046 0.750 Ni
0.000 0.500 0.000 Ni
0.912 0.268 0.431 Ni
0.463 0.537 0.750 Ni
0.537 0.463 0.250 Ni
0.088 0.732 0.569 Ni
0.176 0.824 0.750 Ni
0.849 0.958 0.568 Ni
0.042 0.151 0.932 Ni
0.732 0.088 0.069 Ni
0.268 0.912 0.931 Ni
0.958 0.849 0.068 Ni
0.046 0.954 0.250 Ni
0.500 0.000 0.500 Ni
0.151 0.042 0.432 Ni
0.161 0.288 0.406 O
0.046 0.491 0.571 O
0.903 0.606 0.079 O
0.994 0.115 0.051 O
0.288 0.161 0.906 O
0.667 0.224 0.440 O
0.986 0.299 0.313 O
0.387 0.816 0.693 O
0.776 0.333 0.060 O
0.174 0.107 0.315 O
0.062 0.750 0.318 O
0.613 0.184 0.307 O
0.107 0.174 0.815 O
0.938 0.250 0.682 O
0.885 0.006 0.449 O
0.466 0.593 0.638 O
0.106 0.789 0.449 O
0.954 0.509 0.429 O
0.593 0.466 0.138 O
0.894 0.211 0.551 O
0.835 0.960 0.318 O
0.165 0.040 0.682 O
0.701 0.014 0.187 O
0.006 0.885 0.949 O
0.893 0.826 0.185 O
0.184 0.613 0.807 O
0.333 0.776 0.560 O
0.708 0.582 0.734 O
0.839 0.712 0.594 O
0.595 0.861 0.427 O
0.418 0.292 0.766 O
0.491 0.046 0.071 O
0.224 0.667 0.940 O
0.750 0.062 0.818 O
0.097 0.394 0.921 O
0.816 0.387 0.193 O
0.292 0.418 0.266 O
0.826 0.893 0.685 O
0.040 0.165 0.182 O
0.712 0.839 0.094 O
0.014 0.701 0.687 O
0.960 0.835 0.818 O
0.814 0.722 0.419 O
0.139 0.405 0.073 O
0.405 0.139 0.573 O
0.115 0.994 0.551 O
0.299 0.986 0.813 O
0.509 0.954 0.929 O
0.722 0.814 0.919 O
0.250 0.938 0.182 O
0.407 0.534 0.862 O
0.278 0.186 0.081 O
0.186 0.278 0.581 O
0.861 0.595 0.927 O
0.606 0.903 0.579 O
0.582 0.708 0.234 O
0.211 0.894 0.051 O
0.394 0.097 0.421 O
0.789 0.106 0.949 O
0.534 0.407 0.362 O
0.590 0.093 0.703 K
0.410 0.907 0.297 K
0.664 0.447 0.545 K
0.907 0.410 0.797 K
0.093 0.590 0.203 K
0.447 0.664 0.045 K
0.336 0.553 0.455 K
0.553 0.336 0.955 K
0.159 0.282 0.320 P
0.688 0.993 0.901 P
0.282 0.159 0.820 P
0.555 0.235 0.380 P
0.235 0.555 0.880 P
0.776 0.895 0.402 P
0.718 0.841 0.180 P
0.445 0.765 0.620 P
0.105 0.224 0.098 P
0.895 0.776 0.902 P
0.224 0.105 0.598 P
0.765 0.445 0.120 P
0.312 0.007 0.099 P
0.007 0.312 0.599 P
0.993 0.688 0.401 P
0.841 0.718 0.680 P
```

***

No. 4
## K6Sr2Ni5P10O35 (PBE with a Hubbard U)

Data for a relaxed structure of K6Sr2Ni5P10O35.

Properties
- energy of formation from the pure elements (kJ per mole of atoms) = -247.6
- spin magnetization (μB per formula unit) = 10.000

Geometry as POSCAR:
```
K6Sr2Ni5P10O35
1.0
-0.015 0.031 7.527
11.061 -0.017 -1.986
-0.017 19.816 0.083
P O Ni K Sr
20 70 10 12 4
direct
0.952 0.079 0.844 P
0.450 0.079 0.656 P
0.048 0.921 0.156 P
0.236 0.457 0.269 P
0.831 0.206 0.466 P
0.764 0.543 0.731 P
0.169 0.794 0.534 P
0.629 0.457 0.250 P
0.715 0.006 0.123 P
0.359 0.625 0.013 P
0.285 0.994 0.877 P
0.330 0.206 0.034 P
0.371 0.543 0.750 P
0.670 0.794 0.966 P
0.214 0.005 0.377 P
0.860 0.625 0.487 P
0.641 0.375 0.987 P
0.140 0.375 0.513 P
0.786 0.995 0.623 P
0.550 0.921 0.344 P
0.415 0.663 0.789 O
0.159 0.742 0.606 O
0.179 0.419 0.440 O
0.255 0.891 0.826 O
0.555 0.539 0.702 O
0.076 0.688 0.483 O
0.983 0.061 0.623 O
0.637 0.176 0.492 O
0.223 0.536 0.699 O
0.900 0.965 0.801 O
0.337 0.525 0.065 O
0.328 0.902 0.354 O
0.292 0.053 0.446 O
0.672 0.098 0.646 O
0.708 0.947 0.554 O
0.924 0.312 0.517 O
0.060 0.897 0.528 O
0.125 0.942 0.083 O
0.117 0.339 0.294 O
0.255 0.464 0.192 O
0.574 0.688 0.017 O
0.253 0.726 0.032 O
0.320 0.581 0.940 O
0.841 0.258 0.394 O
0.561 0.897 0.972 O
0.171 0.562 0.306 O
0.417 0.196 0.687 O
0.663 0.475 0.935 O
0.648 0.561 0.199 O
0.661 0.742 0.894 O
0.745 0.536 0.808 O
0.426 0.312 0.983 O
0.755 0.892 0.674 O
0.829 0.438 0.694 O
0.821 0.581 0.560 O
0.245 0.274 0.532 O
0.100 0.035 0.199 O
0.827 0.902 0.147 O
0.208 0.947 0.946 O
0.483 0.060 0.877 O
0.626 0.942 0.416 O
0.680 0.419 0.060 O
0.863 0.824 0.992 O
0.919 0.196 0.813 O
0.517 0.940 0.123 O
0.173 0.098 0.853 O
0.603 0.035 0.301 O
0.339 0.258 0.106 O
0.792 0.053 0.054 O
0.352 0.439 0.801 O
0.883 0.661 0.706 O
0.839 0.525 0.434 O
0.940 0.103 0.472 O
0.137 0.176 0.008 O
0.397 0.965 0.699 O
0.374 0.058 0.584 O
0.439 0.103 0.028 O
0.585 0.337 0.211 O
0.161 0.475 0.566 O
0.245 0.108 0.326 O
0.583 0.804 0.313 O
0.875 0.058 0.917 O
0.445 0.461 0.298 O
0.777 0.464 0.301 O
0.747 0.274 0.968 O
0.017 0.939 0.377 O
0.081 0.804 0.187 O
0.755 0.726 0.468 O
0.745 0.109 0.174 O
0.363 0.824 0.508 O
0.350 0.912 0.035 Ni
0.468 0.430 0.129 Ni
0.532 0.570 0.871 Ni
0.149 0.088 0.535 Ni
0.851 0.912 0.465 Ni
0.650 0.088 0.965 Ni
0.025 0.570 0.631 Ni
0.500 0.000 0.500 Ni
0.000 0.000 0.000 Ni
0.975 0.430 0.369 Ni
0.899 0.648 0.092 K
0.598 0.352 0.591 K
0.402 0.648 0.409 K
0.592 0.276 0.807 K
0.046 0.706 0.897 K
0.452 0.290 0.400 K
0.089 0.279 0.693 K
0.954 0.294 0.103 K
0.548 0.710 0.600 K
0.408 0.724 0.193 K
0.101 0.352 0.908 K
0.911 0.721 0.307 K
0.425 0.126 0.211 Sr
0.071 0.870 0.710 Sr
0.575 0.874 0.789 Sr
0.929 0.130 0.290 Sr
```

***

No. 5
## K4Ti3NiP6O24 (PBE with a Hubbard U)

Data for a relaxed structure of K4Ti3NiP6O24.

Properties
- energy of formation from the pure elements (kJ per mole of atoms) = -274.7
- spin magnetization (μB per formula unit) = 0.001

Geometry as POSCAR:
```
K4Ti3NiP6O24
1.0
-3.154 -9.034 -2.794
9.152 -3.651 1.474
-2.334 -2.112 9.462
O P Ti K Ni
48 12 6 8 2
direct
0.260 0.271 0.804 O
0.523 0.802 0.202 O
0.700 0.985 0.526 O
0.735 0.775 0.701 O
0.955 0.048 0.021 O
0.812 0.489 0.425 O
0.740 0.322 0.187 O
0.760 0.729 0.196 O
0.072 0.437 0.741 O
0.146 0.249 0.581 O
0.999 0.829 0.147 O
0.852 0.750 0.923 O
0.499 0.171 0.853 O
0.520 0.948 0.740 O
0.415 0.057 0.229 O
0.974 0.707 0.701 O
0.572 0.563 0.259 O
0.352 0.250 0.077 O
0.770 0.166 0.693 O
0.691 0.018 0.920 O
0.201 0.777 0.544 O
0.798 0.272 0.948 O
0.023 0.198 0.798 O
0.701 0.223 0.456 O
0.473 0.450 0.765 O
0.802 0.509 0.020 O
0.422 0.899 0.499 O
0.312 0.511 0.575 O
0.581 0.395 0.998 O
0.200 0.015 0.474 O
0.191 0.982 0.080 O
0.020 0.052 0.260 O
0.302 0.491 0.980 O
0.081 0.605 0.002 O
0.474 0.293 0.299 O
0.455 0.952 0.979 O
0.000 0.329 0.353 O
0.235 0.225 0.299 O
0.553 0.450 0.531 O
0.500 0.671 0.647 O
0.270 0.834 0.307 O
0.240 0.678 0.813 O
0.973 0.550 0.235 O
0.922 0.101 0.501 O
0.053 0.550 0.469 O
0.915 0.943 0.771 O
0.646 0.751 0.419 O
0.298 0.728 0.052 O
0.728 0.374 0.045 P
0.873 0.792 0.774 P
0.456 0.521 0.623 P
0.273 0.878 0.458 P
0.373 0.208 0.226 P
0.543 0.024 0.873 P
0.625 0.705 0.272 P
0.773 0.122 0.542 P
0.043 0.976 0.127 P
0.228 0.626 0.955 P
0.956 0.479 0.377 P
0.125 0.295 0.728 P
0.085 0.167 0.414 Ti
0.913 0.660 0.088 Ti
0.413 0.340 0.912 Ti
0.585 0.833 0.586 Ti
0.860 0.110 0.856 Ti
0.360 0.890 0.144 Ti
0.569 0.680 0.930 K
0.794 0.461 0.699 K
0.935 0.812 0.437 K
0.207 0.952 0.788 K
0.435 0.188 0.563 K
0.069 0.320 0.070 K
0.294 0.539 0.301 K
0.707 0.048 0.212 K
0.145 0.604 0.645 Ni
0.645 0.396 0.355 Ni
```